Here is a geometry-optimized Na2ScNbSiP2O12 structure from Materials Project. Energies are from PBE.

Computed properties:
SG: Cc (9)
Total moment in μB per formula unit: 0.0
E in eV/atom: -7.550
Formation energy from the elements in eV per atom: -2.999

CIF file:
```
data_Na2ScNbSiP2O12
_chemical_formula_sum 'Na12 Sc6 Nb6 Si6 P12 O72'
_cell_length_a 8.955
_cell_length_b 8.955
_cell_length_c 22.851
_cell_angle_alpha 90.02
_cell_angle_beta 90.02
_cell_angle_gamma 60.28
_symmetry_space_group_name_H-M 'P 1'
_symmetry_Int_Tables_number 1
loop_
_symmetry_equiv_pos_as_xyz
'x,y,z'
loop_
_atom_site_label
_atom_site_type_symbol
_atom_site_fract_x
_atom_site_fract_y
_atom_site_fract_z
_atom_site_occupancy
Na1 Na 0.000 0.000 0.000 1
Na2 Na 0.000 0.000 0.500 1
Na3 Na 0.308 0.652 0.588 1
Na4 Na 0.320 0.700 0.918 1
Na5 Na 0.329 0.334 0.166 1
Na6 Na 0.334 0.329 0.666 1
Na7 Na 0.365 0.986 0.754 1
Na8 Na 0.652 0.308 0.088 1
Na9 Na 0.652 0.679 0.333 1
Na10 Na 0.679 0.652 0.833 1
Na11 Na 0.700 0.320 0.418 1
Na12 Na 0.986 0.365 0.254 1
Sc1 Sc 0.321 0.328 0.024 1
Sc2 Sc 0.328 0.321 0.524 1
Sc3 Sc 0.655 0.664 0.190 1
Sc4 Sc 0.664 0.655 0.690 1
Sc5 Sc 0.997 0.999 0.857 1
Sc6 Sc 0.999 0.997 0.357 1
Nb1 Nb 0.330 0.333 0.818 1
Nb2 Nb 0.333 0.330 0.318 1
Nb3 Nb 0.657 0.672 0.985 1
Nb4 Nb 0.672 0.657 0.485 1
Nb5 Nb 0.991 0.999 0.651 1
Nb6 Nb 0.999 0.991 0.151 1
Si1 Si 0.041 0.327 0.421 1
Si2 Si 0.288 0.704 0.755 1
Si3 Si 0.327 0.041 0.921 1
Si4 Si 0.369 0.663 0.088 1
Si5 Si 0.663 0.369 0.588 1
Si6 Si 0.704 0.288 0.255 1
P1 P 0.038 0.618 0.922 1
P2 P 0.288 0.996 0.255 1
P3 P 0.328 0.622 0.424 1
P4 P 0.374 0.953 0.590 1
P5 P 0.618 0.038 0.422 1
P6 P 0.622 0.328 0.924 1
P7 P 0.665 0.953 0.089 1
P8 P 0.706 0.998 0.756 1
P9 P 0.953 0.374 0.090 1
P10 P 0.953 0.665 0.589 1
P11 P 0.996 0.288 0.755 1
P12 P 0.998 0.706 0.256 1
O1 O 0.017 0.797 0.913 1
O2 O 0.025 0.796 0.200 1
O3 O 0.026 0.166 0.701 1
O4 O 0.131 0.356 0.362 1
O5 O 0.132 0.500 0.866 1
O6 O 0.133 0.347 0.083 1
O7 O 0.136 0.515 0.581 1
O8 O 0.154 0.307 0.477 1
O9 O 0.154 0.538 0.975 1
O10 O 0.164 0.800 0.696 1
O11 O 0.165 0.522 0.260 1
O12 O 0.166 0.026 0.201 1
O13 O 0.171 0.291 0.760 1
O14 O 0.172 0.997 0.917 1
O15 O 0.173 0.799 0.415 1
O16 O 0.180 0.841 0.095 1
O17 O 0.194 0.959 0.594 1
O18 O 0.201 0.819 0.813 1
O19 O 0.204 0.973 0.310 1
O20 O 0.291 0.171 0.260 1
O21 O 0.304 0.512 0.762 1
O22 O 0.307 0.154 0.977 1
O23 O 0.310 0.538 0.479 1
O24 O 0.347 0.133 0.583 1
O25 O 0.355 0.492 0.081 1
O26 O 0.356 0.131 0.862 1
O27 O 0.362 0.497 0.369 1
O28 O 0.466 0.692 0.029 1
O29 O 0.466 0.831 0.536 1
O30 O 0.468 0.846 0.248 1
O31 O 0.474 0.692 0.749 1
O32 O 0.475 0.874 0.646 1
O33 O 0.492 0.355 0.581 1
O34 O 0.494 0.630 0.143 1
O35 O 0.497 0.362 0.869 1
O36 O 0.500 0.132 0.366 1
O37 O 0.500 0.630 0.427 1
O38 O 0.508 0.845 0.928 1
O39 O 0.512 0.304 0.262 1
O40 O 0.515 0.136 0.081 1
O41 O 0.522 0.165 0.760 1
O42 O 0.538 0.154 0.475 1
O43 O 0.538 0.310 0.979 1
O44 O 0.627 0.861 0.427 1
O45 O 0.630 0.494 0.643 1
O46 O 0.630 0.500 0.927 1
O47 O 0.643 0.867 0.143 1
O48 O 0.674 0.847 0.747 1
O49 O 0.691 0.836 0.033 1
O50 O 0.692 0.466 0.529 1
O51 O 0.692 0.474 0.249 1
O52 O 0.796 0.025 0.700 1
O53 O 0.797 0.017 0.413 1
O54 O 0.799 0.173 0.915 1
O55 O 0.800 0.164 0.196 1
O56 O 0.813 0.976 0.809 1
O57 O 0.819 0.201 0.313 1
O58 O 0.831 0.466 0.036 1
O59 O 0.833 0.969 0.093 1
O60 O 0.836 0.691 0.533 1
O61 O 0.841 0.180 0.595 1
O62 O 0.845 0.508 0.428 1
O63 O 0.846 0.468 0.748 1
O64 O 0.847 0.674 0.247 1
O65 O 0.861 0.627 0.927 1
O66 O 0.867 0.643 0.643 1
O67 O 0.874 0.475 0.146 1
O68 O 0.959 0.194 0.094 1
O69 O 0.969 0.833 0.593 1
O70 O 0.973 0.204 0.810 1
O71 O 0.976 0.813 0.309 1
O72 O 0.997 0.172 0.417 1
```